(1)
Here is a relaxed structure of NaCo3P3O13 from the Materials Project database. Energies are from GGA+U.

Summary:
- E_form (kJ/mol of formula units) = -3853
- space group = P2_1/m
- volume (Å³/cell) = 483.7
- size of the total moment (μB per cell) = 10.0

```
NaCo3P3O13
1.0
6.196 0.000 0.000
0.000 7.488 0.000
0.000 1.800 10.425
O P Co Na
26 6 6 2
Direct
0.054 0.372 0.789
0.250 0.978 0.402
0.948 0.256 0.432
0.542 0.799 0.910
0.052 0.744 0.568
0.446 0.372 0.789
0.750 0.805 0.366
0.250 0.882 0.082
0.552 0.256 0.432
0.750 0.118 0.918
0.250 0.646 0.383
0.250 0.082 0.872
0.250 0.195 0.634
0.250 0.501 0.039
0.750 0.022 0.598
0.448 0.744 0.568
0.750 0.499 0.961
0.750 0.658 0.745
0.554 0.628 0.211
0.042 0.201 0.090
0.958 0.799 0.910
0.750 0.354 0.617
0.250 0.342 0.255
0.458 0.201 0.090
0.750 0.918 0.128
0.946 0.628 0.211
0.750 0.746 0.236
0.250 0.254 0.764
0.750 0.695 0.886
0.750 0.219 0.524
0.250 0.305 0.114
0.250 0.781 0.476
0.000 0.000 0.000
0.250 0.220 0.443
0.250 0.627 0.196
0.750 0.780 0.557
0.750 0.373 0.804
0.500 0.000 0.000
0.750 0.328 0.197
0.250 0.672 0.803
```

(2)
Here is a relaxed structure of VRhO4 from the Materials Project database. Energies are from GGA+U.

Summary:
- E_form (kJ/mol of formula units) = -1045
- space group = I4_1md
- volume (Å³/cell) = 127.4
- size of the total moment (μB per cell) = 0.0

```
VRhO4
1.0
2.458 -0.069 -4.924
3.315 -0.961 4.287
-3.739 -4.039 -0.044
O V Rh
8 2 2
Direct
0.017 0.709 0.692
0.031 0.230 0.800
0.480 0.180 0.700
0.017 0.325 0.308
0.959 0.767 0.192
0.480 0.781 0.300
0.430 0.230 0.200
0.575 0.767 0.808
0.009 0.009 0.000
0.259 0.759 0.500
0.497 0.497 0.000
0.747 0.247 0.500
```

(3)
Here is a relaxed structure of MgFe6O6F6 from the Materials Project database. Energies are from GGA+U.

Summary:
- energy above the lowest structure with this stoichiometry (meV/atom) = 69
- E_form (kJ/mol of formula units) = -3803
- space group = Pm
- volume (Å³/cell) = 231.4
- size of the total moment (μB per cell) = 28.0

```
MgFe6O6F6
1.0
-3.450 -3.652 1.058
5.804 0.261 13.581
-2.022 2.149 0.823
F O Fe Mg
6 6 6 1
Direct
0.636 0.562 0.000
0.808 0.406 0.500
0.803 0.717 0.500
0.828 0.049 0.500
0.765 0.893 0.000
0.154 0.271 0.500
0.336 0.948 0.500
0.143 0.593 0.500
0.676 0.251 0.000
0.276 0.431 0.000
0.353 0.112 0.000
0.291 0.758 0.000
0.022 0.663 0.000
0.470 0.815 0.500
0.969 0.344 0.000
0.396 0.507 0.500
0.472 0.196 0.500
0.098 0.990 0.000
0.574 0.004 0.000
```

(4)
Here is a relaxed structure of Ba4Ta10NiO30 from the Materials Project database. Energies are from GGA+U.

Summary:
- E_form (kJ/mol of formula units) = -14434
- space group = Imm2
- volume (Å³/cell) = 625.5
- size of the total moment (μB per cell) = 2.0

```
Ba4Ta10NiO30
1.0
-3.956 5.177 7.636
3.956 -5.177 7.636
3.956 5.177 -7.636
O Ta Ba Ni
30 10 4 1
Direct
0.258 0.758 0.500
0.027 0.894 0.605
0.619 0.538 0.650
0.217 0.594 0.115
0.714 0.898 0.816
0.768 0.623 0.145
0.924 0.674 0.750
0.619 0.969 0.081
0.820 0.128 0.692
0.888 0.969 0.350
0.478 0.623 0.855
0.245 0.245 0.000
0.290 0.894 0.868
0.752 0.738 0.481
0.582 0.858 0.276
0.888 0.538 0.919
0.082 0.898 0.184
0.703 0.379 0.324
0.752 0.270 0.013
0.582 0.307 0.724
0.257 0.738 0.987
0.478 0.102 0.885
0.435 0.128 0.308
0.290 0.422 0.395
0.027 0.422 0.132
0.924 0.174 0.250
0.217 0.102 0.623
0.055 0.379 0.676
0.478 0.594 0.377
0.257 0.270 0.519
0.807 0.370 0.932
0.437 0.370 0.562
0.693 0.625 0.568
0.693 0.125 0.067
0.252 0.001 0.750
0.058 0.125 0.432
0.252 0.502 0.250
0.807 0.875 0.438
0.058 0.625 0.933
0.437 0.875 0.068
0.047 0.547 0.500
0.048 0.048 0.000
0.446 0.946 0.500
0.458 0.458 0.000
0.723 0.723 0.000
```

(5)
Here is a relaxed structure of MgVOF2 from the Materials Project database. Energies are from GGA+U.

Summary:
- energy above the lowest structure with this stoichiometry (meV/atom) = 0
- E_form (kJ/mol of formula units) = -1412
- space group = Cm
- volume (Å³/cell) = 68.8
- size of the total moment (μB per cell) = 3.0

```
MgVOF2
1.0
2.559 2.898 1.515
3.491 2.304 -4.603
-1.209 2.270 -2.299
F Mg O V
2 1 1 1
Direct
0.123 0.793 0.691
0.841 0.359 0.142
0.637 0.766 0.717
0.538 0.963 0.025
0.979 0.081 0.912
```

(6)
Here is a relaxed structure of Mn7F16 from the Materials Project database. Energies are from GGA+U.

Summary:
- E_form (kJ/mol of formula units) = -6338
- space group = R-3
- volume (Å³/cell) = 331.0

```
Mn7F16
1.0
9.070 -3.282 0.000
9.070 3.282 0.000
7.882 0.000 5.559
F Mn
16 7
Direct
0.720 0.983 0.177
0.280 0.017 0.823
0.842 0.597 0.148
0.158 0.403 0.852
0.852 0.158 0.403
0.764 0.764 0.764
0.403 0.852 0.158
0.983 0.177 0.720
0.236 0.236 0.236
0.425 0.425 0.425
0.823 0.280 0.017
0.148 0.842 0.597
0.177 0.720 0.983
0.575 0.575 0.575
0.017 0.823 0.280
0.597 0.148 0.842
0.253 0.519 0.888
0.519 0.888 0.253
0.000 0.000 0.000
0.481 0.112 0.747
0.747 0.481 0.112
0.112 0.747 0.481
0.888 0.253 0.519
```

(7)
Here is a relaxed structure of LiMn3Fe2O8 from the Materials Project database. Energies are from GGA+U.

Summary:
- E_form (kJ/mol of formula units) = -2497
- space group = R3m
- volume (Å³/cell) = 155.1
- size of the total moment (μB per cell) = 22.0

```
LiMn3Fe2O8
1.0
-1.113 5.875 0.500
0.913 2.726 5.267
4.590 3.822 0.574
Mn O Fe Li
3 8 2 1
Direct
0.506 0.989 0.506
0.506 0.506 0.989
0.989 0.506 0.506
0.738 0.738 0.294
0.749 0.749 0.749
0.247 0.247 0.247
0.738 0.294 0.738
0.719 0.256 0.256
0.256 0.719 0.256
0.294 0.738 0.738
0.256 0.256 0.719
0.503 0.503 0.503
0.121 0.121 0.121
0.877 0.877 0.877
```

(8)
Here is a relaxed structure of Li4V5Cu3O16 from the Materials Project database. Energies are from GGA+U.

Summary:
- E_form (kJ/mol of formula units) = -5546
- space group = P1
- volume (Å³/cell) = 290.6
- size of the total moment (μB per cell) = 4.0

```
Li4V5Cu3O16
1.0
-4.401 -2.999 -2.538
5.162 -2.621 0.925
-3.229 -3.363 8.506
Cu O V Li
3 16 5 4
Direct
0.340 0.169 0.705
0.164 0.337 0.198
0.164 0.827 0.198
0.159 0.343 0.586
0.054 0.527 0.358
0.533 0.503 0.848
0.679 0.839 0.606
0.534 0.031 0.847
0.516 0.542 0.356
0.373 0.687 0.116
0.352 0.176 0.074
0.813 0.645 0.084
0.981 0.990 0.285
0.814 0.169 0.084
0.517 0.975 0.356
0.685 0.343 0.609
0.161 0.817 0.585
0.958 0.479 0.837
0.001 0.000 0.800
0.636 0.818 0.242
0.678 0.339 0.000
0.801 0.149 0.724
0.799 0.651 0.725
0.282 0.641 0.489
0.680 0.340 0.413
0.320 0.660 0.912
0.005 0.003 0.991
0.002 0.001 0.482
```